Below is a relaxed H6PbCI3N crystal, with properties calculated at the PBE-GGA level.

Structure (POSCAR):
```
H6PbCI3N
1.0
9.137 0.000 0.000
-0.022 9.151 0.000
-0.015 -0.011 13.006
H Pb C I N
24 4 4 12 4
Cartesian
3.821 8.456 9.214 H
5.576 8.820 9.269 H
3.636 0.253 11.458 H
5.232 0.689 11.477 H
4.830 8.228 11.482 H
8.437 3.845 9.205 H
1.031 4.299 9.258 H
8.170 4.742 11.435 H
0.622 5.293 11.489 H
0.270 3.655 11.450 H
8.134 4.488 2.706 H
0.582 3.670 2.756 H
8.534 5.346 4.953 H
0.934 4.666 4.974 H
8.732 3.692 4.948 H
3.870 8.428 2.710 H
5.591 8.930 2.756 H
3.621 0.142 4.954 H
5.201 0.724 5.003 H
4.856 8.233 4.956 H
0.494 5.473 2.723 H
8.892 5.575 9.226 H
4.382 1.004 9.234 H
4.304 1.015 2.748 H
9.124 0.002 0.018 Pb
4.530 4.568 6.519 Pb
-0.006 9.141 6.519 Pb
4.561 4.566 0.016 Pb
4.600 0.021 3.091 C
0.023 4.577 9.582 C
0.021 4.554 3.082 C
4.602 -0.006 9.593 C
-0.001 -0.001 3.256 I
4.551 4.568 9.758 I
-0.011 -0.006 9.758 I
4.551 4.575 3.255 I
2.011 6.612 0.087 I
6.598 2.039 6.583 I
2.516 2.019 0.079 I
7.082 6.609 6.579 I
7.086 2.534 0.075 I
2.514 7.111 6.591 I
6.564 7.101 0.083 I
2.014 2.543 6.586 I
4.550 9.143 4.580 N
-0.015 4.568 11.069 N
-0.012 4.567 4.569 N
4.572 -0.003 11.081 N
```

Results
Energy of formation from the pure elements (eV per atom): -0.42
Size of the total moment (Bohr magnetons per cell): 0.0
Mass density (g/cm3): 3.8
Electronic total energy (eV for the cell shown): -203.6